Cs: optimized geometry, PBE-GGA.

a b c (Å): 10.4518 10.4518 8.5896
angles (deg): 90.00 90.00 90.00
Closest atoms and distances in Å follow each position.
Fractional coordinates of all 8 atoms:
Cs: 0.5617 0.7459 0.5000  10 Cs 5.15-5.70
Cs: 0.2459 0.0617 0.0000  10 Cs 5.15-5.70
Cs: 0.9383 0.2459 0.5000  10 Cs 5.15-5.70
Cs: 0.7459 0.4383 0.0000  10 Cs 5.15-5.70
Cs: 0.0617 0.7541 0.5000  10 Cs 5.15-5.70
Cs: 0.2541 0.5617 0.0000  10 Cs 5.15-5.70
Cs: 0.7541 0.9383 0.0000  10 Cs 5.15-5.70
Cs: 0.4383 0.2541 0.5000  10 Cs 5.15-5.70

Results
ΔE to the lowest computed polymorph ... 0.065 eV/atom
Uncorrected energy ... -0.830 eV/atom
Energy of formation ... 0.065 eV/atom
Calculated density ... 1.9 g/cm3
Space-group type ... P4_2/mbc, No. 135